# 1
Density functional theory data (r2SCAN) for a relaxed Ba2AlH7 crystal.

Summary:
DFT total energy = -355.84 eV per cell
Space-group type = C2/c (15)
V = 14.3 Å³/atom

a = 8.8010 Å, b = 8.8010 Å, c = 8.5608 Å
α = 109.94°, β = 109.94°, γ = 71.60°
Fractional coordinates of all 40 atoms:
Ba1 0.0713 0.7408 0.9815
Ba2 0.2592 0.9287 0.5185
Ba3 0.2811 0.4323 0.5209
Ba4 0.4323 0.2811 0.0209
Ba5 0.5677 0.7189 0.9791
Ba6 0.7189 0.5677 0.4791
Ba7 0.7408 0.0713 0.4815
Ba8 0.9287 0.2592 0.0185
Al1 0.0317 0.3191 0.6987
Al2 0.3191 0.0317 0.1987
Al3 0.6809 0.9683 0.8013
Al4 0.9683 0.6809 0.3013
H1 0.0187 0.5105 0.6733
H2 0.0389 0.1257 0.7145
H3 0.0528 0.7462 0.5234
H4 0.1049 0.3920 0.9191
H5 0.1257 0.0389 0.2145
H6 0.1757 0.6211 0.2796
H7 0.2350 0.2469 0.6820
H8 0.2469 0.2350 0.1820
H9 0.2538 0.9472 0.9766
H10 0.3390 0.5454 0.8741
H11 0.3789 0.8243 0.2204
H12 0.3920 0.1049 0.4191
H13 0.4546 0.6610 0.6259
H14 0.4895 0.9813 0.8267
H15 0.5105 0.0187 0.1733
H16 0.5454 0.3390 0.3741
H17 0.6080 0.8951 0.5809
H18 0.6211 0.1757 0.7796
H19 0.6610 0.4546 0.1259
H20 0.7462 0.0528 0.0234
H21 0.7531 0.7650 0.8180
H22 0.7650 0.7531 0.3180
H23 0.8243 0.3789 0.7204
H24 0.8743 0.9611 0.7855
H25 0.8951 0.6080 0.0809
H26 0.9472 0.2538 0.4766
H27 0.9611 0.8743 0.2855
H28 0.9813 0.4895 0.3267

***

# 2
Density functional theory data (r2SCAN) for a relaxed BaSrMn2Al9PbO20 crystal.

Summary:
DFT total energy = -410.62 eV per cell
Space-group type = P1 (1)
V = 12.2 Å³/atom

a = 4.9654 Å, b = 9.5631 Å, c = 9.6826 Å
α = 99.98°, β = 104.48°, γ = 104.84°
Fractional coordinates of all 34 atoms:
Ba1 0.0000 0.0000 0.0000
Sr1 0.0052 0.2890 0.7287
Mn1 0.1379 0.6415 0.6346
Mn2 0.4896 0.5022 0.4952
Al1 0.2465 0.1566 0.4294
Al2 0.3242 0.4277 0.1565
Al3 0.3569 0.7177 0.0171
Al4 0.3762 0.0191 0.7140
Al5 0.6173 0.9966 0.2892
Al6 0.6568 0.2897 0.9920
Al7 0.6875 0.5777 0.8511
Al8 0.7447 0.8586 0.5738
Al9 0.8519 0.3667 0.3621
Pb1 0.9581 0.7259 0.2777
O1 0.0245 0.3051 0.0090
O2 0.0936 0.8418 0.6618
O3 0.1603 0.4409 0.5620
O4 0.1914 0.4472 0.3105
O5 0.2604 0.1308 0.6038
O6 0.2841 0.0170 0.3002
O7 0.4178 0.6673 0.8463
O8 0.4437 0.1057 0.8983
O9 0.4471 0.6968 0.5482
O10 0.4670 0.6039 0.1287
O11 0.5504 0.3142 0.4514
O12 0.5564 0.4001 0.8757
O13 0.5665 0.9023 0.1095
O14 0.5976 0.3344 0.1674
O15 0.7118 0.0043 0.6978
O16 0.7388 0.8841 0.3996
O17 0.7873 0.5531 0.6850
O18 0.7878 0.5580 0.4135
O19 0.8963 0.1749 0.3449
O20 0.9910 0.7036 0.9905

***

# 3
Density functional theory data (r2SCAN) for a relaxed Ba6Nd2Al4O15 crystal.

Summary:
DFT total energy = -844.45 eV per cell
Space-group type = P2/c (13)
V = 16.4 Å³/atom

a = 7.9624 Å, b = 5.9910 Å, c = 18.6267 Å
α = 90.00°, β = 91.44°, γ = 90.00°
Fractional coordinates of all 54 atoms:
Ba1 0.0000 0.1705 0.2500
Ba2 0.0000 0.8295 0.7500
Ba3 0.0036 0.2564 0.9168
Ba4 0.0036 0.7436 0.4168
Ba5 0.4688 0.2496 0.9087
Ba6 0.4688 0.7504 0.4087
Ba7 0.5000 0.2202 0.2500
Ba8 0.5000 0.7798 0.7500
Ba9 0.5312 0.2496 0.5913
Ba10 0.5312 0.7504 0.0913
Ba11 0.9964 0.2564 0.5832
Ba12 0.9964 0.7436 0.0832
Nd1 0.2538 0.2485 0.0898
Nd2 0.2538 0.7515 0.5898
Nd3 0.7462 0.2485 0.4102
Nd4 0.7462 0.7515 0.9102
Al1 0.2525 0.2474 0.4418
Al2 0.2525 0.7526 0.9418
Al3 0.2807 0.2746 0.7341
Al4 0.2807 0.7254 0.2341
Al5 0.7193 0.2746 0.7659
Al6 0.7193 0.7254 0.2659
Al7 0.7475 0.2474 0.0582
Al8 0.7475 0.7526 0.5582
O1 0.0443 0.2563 0.4054
O2 0.0443 0.7437 0.9054
O3 0.1967 0.1791 0.8135
O4 0.1967 0.8209 0.3135
O5 0.2283 0.4665 0.1952
O6 0.2283 0.5335 0.6952
O7 0.2543 0.0649 0.6668
O8 0.2543 0.9351 0.1668
O9 0.2633 0.9998 0.4942
O10 0.2633 0.0002 0.9942
O11 0.2635 0.4779 0.5025
O12 0.2635 0.5221 0.0025
O13 0.4393 0.2644 0.3916
O14 0.4393 0.7356 0.8916
O15 0.5000 0.2934 0.7500
O16 0.5000 0.7066 0.2500
O17 0.5607 0.2644 0.1084
O18 0.5607 0.7356 0.6084
O19 0.7367 0.9998 0.0058
O20 0.7367 0.0002 0.5058
O21 0.7365 0.4779 0.9975
O22 0.7365 0.5221 0.4975
O23 0.7457 0.0649 0.8332
O24 0.7457 0.9351 0.3332
O25 0.7717 0.4665 0.3048
O26 0.7717 0.5335 0.8048
O27 0.8033 0.1791 0.6865
O28 0.8033 0.8209 0.1865
O29 0.9557 0.2563 0.0946
O30 0.9557 0.7437 0.5946

***

| no. | energy of formation from the pure elements (meV/atom) |
| --- | --- |
| 1 | -504 |
| 2 | -3038 |
| 3 | -3255 |